A relaxed structure of LaMgCrMoO6. Source: the Materials Project database, functional PBE+U.

Properties
ΔE_f ... -2.73 eV/atom
MP2020-corrected energy ... -168.031 eV per cell

a b c (Å): 5.417 5.556 7.933
angles (deg): 90.04 89.69 89.82
Element x y z (fractional)
La1 0.503 0.540 0.250
La2 0.004 0.960 0.751
O1 0.816 0.811 0.066
O2 0.364 0.964 0.256
O3 0.087 0.437 0.243
O4 0.216 0.223 0.939
O5 0.589 0.071 0.742
O6 0.719 0.273 0.433
O7 0.711 0.294 0.049
O8 0.316 0.687 0.567
O9 0.317 0.693 0.943
O10 0.868 0.536 0.755
O11 0.207 0.203 0.551
O12 0.815 0.804 0.441
Cr1 0.500 0.999 0.499
Cr2 0.000 0.502 0.000
Mg1 0.487 0.452 0.758
Mg2 0.983 0.050 0.258
Mo1 0.499 0.005 0.001
Mo2 0.999 0.494 0.500